Na3C2O8 (PBE, optimized geometry); VASP energy = -6.04 eV/atom; V = 387 Å³/cell; energy of formation from the pure elements = -17.75 eV/f.u.; E above lowest polymorph = 0.0 meV/atom
1.0
6.6924 -8.8107 -3.3966
7.3762 -6.4503 -6.1593
8.5880 1.8058 3.6686
O Na C
16 6 4
Cartesian
10.6075 -7.7909 -4.9870
8.0195 -5.6547 -3.8025
12.5968 -6.8761 -4.5181
7.8159 -9.4594 -4.3855
5.9842 -4.9951 -3.1296
11.9273 -1.9456 0.5930
15.2160 -9.9416 -5.4244
14.6372 -7.8004 -2.0848
12.0491 -5.6642 -0.9003
16.6724 -8.4600 -2.7577
10.0598 -6.5790 -1.3692
10.7293 -11.5095 -6.4803
14.8407 -3.9957 -1.5018
7.4407 -3.5135 -0.4629
12.4733 -9.0355 -4.9752
10.1834 -4.4196 -0.9121
8.9774 -7.8827 -3.0372
12.6676 -4.4679 0.9972
13.8190 -9.6858 -3.1757
13.6792 -5.5724 -2.8501
9.9890 -8.9872 -6.8845
8.8376 -3.7693 -2.7116
15.8940 -7.9536 -1.8584
10.7796 -5.5551 -1.0752
11.8771 -7.9000 -4.8121
6.7627 -5.5015 -4.0289